Compound: SmLuSe3
Source: the Materials Project database
Functional: PBE
Structure: relaxed

Energy ... -5.812 eV per atom

```
data_SmLuSe3
_symmetry_space_group_name_H-M 'P 1 21/m 1'
_symmetry_Int_Tables_number 11
_symmetry_space_group_name_Hall '-P 2yb'
_cell_length_a 11.545
_cell_length_b 4.099
_cell_length_c 11.838
_cell_angle_alpha 90.00
_cell_angle_beta 108.88
_cell_angle_gamma 90.00
loop_
_atom_site_label
_atom_site_type_symbol
_atom_site_fract_x
_atom_site_fract_y
_atom_site_fract_z
Sm1 Sm 0.049 0.250 0.197
Sm2 Sm 0.319 0.750 0.997
Lu1 Lu 0.158 0.250 0.582
Lu2 Lu 0.438 0.250 0.337
Se1 Se 0.082 0.750 0.406
Se2 Se 0.112 0.250 0.964
Se3 Se 0.191 0.750 0.743
Se4 Se 0.263 0.750 0.231
Se5 Se 0.394 0.250 0.560
Se6 Se 0.486 0.250 0.123
```

Compound: LuSi3
Source: the Materials Project database
Functional: PBE
Structure: relaxed

Energy ... -5.389 eV per atom

```
data_LuSi3
_symmetry_space_group_name_H-M 'P m -3 m'
_symmetry_Int_Tables_number 221
_symmetry_space_group_name_Hall '-P 4 2 3'
_cell_length_a 4.077
_cell_length_b 4.077
_cell_length_c 4.077
_cell_angle_alpha 90.00
_cell_angle_beta 90.00
_cell_angle_gamma 90.00
loop_
_atom_site_label
_atom_site_type_symbol
_atom_site_fract_x
_atom_site_fract_y
_atom_site_fract_z
Lu1 Lu 0.000 0.000 0.000
Si1 Si 0.000 0.500 0.500
```

Compound: LuSi2
Source: the Materials Project database
Functional: PBE
Structure: relaxed

Energy ... -5.553 eV per atom

```
data_LuSi2
_symmetry_space_group_name_H-M 'P 6/m m m'
_symmetry_Int_Tables_number 191
_symmetry_space_group_name_Hall '-P 6 2'
_cell_length_a 4.0893
_cell_length_b 4.0893
_cell_length_c 3.7962
_cell_angle_alpha 90.00
_cell_angle_beta 90.00
_cell_angle_gamma 120.00
loop_
_atom_site_label
_atom_site_type_symbol
_atom_site_fract_x
_atom_site_fract_y
_atom_site_fract_z
Lu1 Lu 0.0000 0.0000 0.0000
Si1 Si 0.3333 0.6667 0.5000
```

Compound: LuTiSi
Source: the Materials Project database
Functional: PBE
Structure: relaxed

Energy ... -6.619 eV per atom

```
data_LuTiSi
_symmetry_space_group_name_H-M 'P 4/n m m'
_symmetry_Int_Tables_number 129
_cell_length_a 3.981
_cell_length_b 3.981
_cell_length_c 7.413
_cell_angle_alpha 90.00
_cell_angle_beta 90.00
_cell_angle_gamma 90.00
loop_
_symmetry_equiv_pos_as_xyz
'x,y,z'
'-x,-y,-z'
'-y+1/2,x,z'
'y+1/2,-x,-z'
'-x+1/2,-y+1/2,z'
'x+1/2,y+1/2,-z'
'y,-x+1/2,z'
'-y,x+1/2,-z'
'x+1/2,-y,-z'
'-x+1/2,y,z'
'-y,-x,-z'
'y,x,z'
'-x,y+1/2,-z'
'x,-y+1/2,z'
'y+1/2,x+1/2,-z'
'-y+1/2,-x+1/2,z'
loop_
_atom_site_label
_atom_site_type_symbol
_atom_site_fract_x
_atom_site_fract_y
_atom_site_fract_z
Lu1 Lu 0.250 0.250 0.156
Ti1 Ti 0.250 0.750 0.500
Si1 Si 0.250 0.250 0.746
```

The records above give, respectively, E_form values of -2150, -136, -381, -648 meV/atom.